P) Here is crystalline NiPt12O16 at its relaxed geometry from the Materials Project. Energies are from PBE with a Hubbard U.

Properties
The value obtained for the size of the total moment is 0.51 μB/cell.

Cell: 8.026 8.026 8.026 Å, 60.00 60.00 60.00°
Atoms (fractional coordinates):
O (0.628, 0.628, 0.628)
Pt (0.376, 0.624, 0.873)
O (0.886, 0.886, 0.886)
O (0.628, 0.628, 0.116)
O (0.114, 0.659, 0.114)
O (0.659, 0.114, 0.114)
Pt (0.873, 0.376, 0.624)
O (0.372, 0.884, 0.372)
Pt (0.127, 0.376, 0.873)
O (0.886, 0.341, 0.886)
O (0.884, 0.372, 0.372)
Ni (0.000, 0.000, 0.000)
O (0.114, 0.114, 0.114)
Pt (0.873, 0.624, 0.127)
Pt (0.873, 0.127, 0.376)
Pt (0.127, 0.873, 0.624)
O (0.886, 0.886, 0.341)
O (0.116, 0.628, 0.628)
O (0.114, 0.114, 0.659)
O (0.341, 0.886, 0.886)
O (0.372, 0.372, 0.372)
Pt (0.376, 0.127, 0.624)
O (0.628, 0.116, 0.628)
Pt (0.127, 0.624, 0.376)
Pt (0.376, 0.873, 0.127)
Pt (0.624, 0.127, 0.873)
O (0.372, 0.372, 0.884)
Pt (0.624, 0.376, 0.127)
Pt (0.624, 0.873, 0.376)

Q) Here is crystalline NiPt12O16 at its relaxed geometry from the Materials Project. Energies are from PBE with a Hubbard U.

Properties
The value obtained for the size of the total moment is 2.51 μB/cell.

Cell: 5.692 5.738 11.332 Å, 90.00 90.00 90.00°
Atoms (fractional coordinates):
Pt (0.000, 0.247, 0.000)
Pt (0.500, 0.000, 0.374)
O (0.751, 0.248, 0.124)
Pt (0.251, 0.500, 0.753)
Pt (0.251, 0.500, 0.247)
Pt (0.000, 0.751, 0.500)
O (0.271, 0.270, 0.616)
Pt (0.749, 0.500, 0.247)
O (0.751, 0.248, 0.876)
O (0.751, 0.752, 0.876)
O (0.249, 0.248, 0.876)
Pt (0.500, 0.000, 0.874)
O (0.751, 0.752, 0.124)
Pt (0.000, 0.753, 0.000)
Pt (0.500, 0.000, 0.626)
Ni (0.500, 0.500, 0.500)
O (0.271, 0.270, 0.384)
O (0.271, 0.730, 0.616)
O (0.271, 0.730, 0.384)
O (0.729, 0.730, 0.616)
O (0.729, 0.730, 0.384)
O (0.729, 0.270, 0.616)
O (0.249, 0.752, 0.124)
Pt (0.000, 0.249, 0.500)
O (0.729, 0.270, 0.384)
Pt (0.749, 0.500, 0.753)
O (0.249, 0.752, 0.876)
O (0.249, 0.248, 0.124)
Pt (0.500, 0.000, 0.126)

Of them, P) has the lowest stability.

P) Here is crystalline YNiSO7 at its relaxed geometry from the Materials Project. Energies are from PBE with a Hubbard U.

Properties
The value obtained for the size of the total moment is 12.00 μB/cell.

Cell: 6.034 6.230 14.191 Å, 90.00 90.00 90.00°
Atoms (fractional coordinates):
O (0.994, 0.068, 0.189)
Y (0.724, 0.206, 0.086)
O (0.376, 0.144, 0.148)
O (0.014, 0.538, 0.516)
O (0.969, 0.458, 0.025)
Y (0.276, 0.706, 0.414)
O (0.986, 0.038, 0.984)
O (0.222, 0.791, 0.114)
Ni (0.029, 0.248, 0.499)
O (0.469, 0.042, 0.975)
Ni (0.471, 0.752, 0.999)
O (0.006, 0.568, 0.311)
O (0.624, 0.644, 0.352)
O (0.031, 0.958, 0.475)
Ni (0.529, 0.252, 0.501)
O (0.218, 0.688, 0.930)
O (0.795, 0.594, 0.724)
O (0.205, 0.094, 0.776)
O (0.782, 0.188, 0.570)
O (0.124, 0.856, 0.648)
O (0.722, 0.709, 0.886)
O (0.486, 0.462, 0.016)
O (0.718, 0.812, 0.070)
O (0.778, 0.291, 0.386)
O (0.514, 0.962, 0.484)
Y (0.224, 0.294, 0.914)
S (0.719, 0.523, 0.817)
O (0.705, 0.406, 0.224)
O (0.531, 0.542, 0.525)
O (0.295, 0.906, 0.276)
O (0.506, 0.932, 0.689)
Y (0.776, 0.794, 0.586)
O (0.282, 0.312, 0.430)
O (0.876, 0.356, 0.852)
O (0.494, 0.432, 0.811)
S (0.219, 0.977, 0.183)
O (0.278, 0.209, 0.614)
S (0.781, 0.477, 0.317)
S (0.281, 0.023, 0.683)
Ni (0.971, 0.748, 0.001)

Q) Here is crystalline YNiSO7 at its relaxed geometry from the Materials Project. Energies are from PBE with a Hubbard U.

Properties
The value obtained for the size of the total moment is 20.00 μB/cell.

Cell: 15.798 6.135 6.666 Å, 90.00 89.99 89.99°
Atoms (fractional coordinates):
O (0.532, 0.481, 0.577)
O (0.190, 0.385, 0.395)
O (0.558, 0.221, 0.177)
O (0.167, 0.014, 0.077)
Ni (0.982, 0.519, 0.799)
S (0.391, 0.174, 0.529)
O (0.690, 0.115, 0.604)
O (0.810, 0.886, 0.105)
Y (0.560, 0.233, 0.825)
O (0.708, 0.002, 0.457)
O (0.792, 0.995, 0.955)
O (0.207, 0.496, 0.544)
Y (0.060, 0.267, 0.175)
O (0.515, 0.562, 0.948)
S (0.891, 0.326, 0.471)
Ni (0.018, 0.019, 0.701)
O (0.833, 0.514, 0.423)
O (0.468, 0.981, 0.923)
O (0.393, 0.216, 0.303)
Y (0.440, 0.733, 0.675)
O (0.968, 0.519, 0.077)
O (0.667, 0.486, 0.923)
O (0.333, 0.986, 0.577)
O (0.606, 0.716, 0.198)
O (0.032, 0.019, 0.423)
O (0.942, 0.780, 0.677)
O (0.015, 0.938, 0.052)
O (0.106, 0.784, 0.803)
S (0.609, 0.674, 0.971)
O (0.442, 0.721, 0.323)
S (0.109, 0.826, 0.029)
Ni (0.518, 0.481, 0.299)
O (0.485, 0.062, 0.552)
O (0.058, 0.280, 0.823)
Y (0.940, 0.767, 0.325)
O (0.310, 0.614, 0.895)
O (0.894, 0.284, 0.697)
O (0.292, 0.504, 0.043)
Ni (0.482, 0.981, 0.201)
O (0.985, 0.438, 0.448)

Of them, Q) has the lowest stability.

P) Here is crystalline Si4NiO10 at its relaxed geometry from the Materials Project. Energies are from PBE with a Hubbard U.

Properties
The value obtained for the size of the total moment is 7.92 μB/cell.

Cell: 7.335 7.336 15.844 Å, 90.00 90.00 90.10°
Atoms (fractional coordinates):
O (0.643, 0.526, 0.411)
O (0.645, 0.969, 0.907)
Si (0.429, 0.494, 0.849)
O (0.998, 0.289, 0.370)
Si (0.073, 0.494, 0.350)
O (0.790, 0.003, 0.630)
O (0.463, 0.541, 0.750)
O (0.037, 0.959, 0.750)
Ni (0.750, 0.750, 0.909)
O (0.470, 0.147, 0.592)
Si (0.506, 0.573, 0.650)
O (0.002, 0.711, 0.630)
O (0.857, 0.974, 0.411)
O (0.711, 0.004, 0.131)
Si (0.507, 0.928, 0.152)
Si (0.994, 0.927, 0.650)
Si (0.006, 0.073, 0.350)
O (0.290, 0.503, 0.370)
O (0.961, 0.461, 0.750)
O (0.039, 0.539, 0.250)
Si (0.493, 0.072, 0.848)
O (0.537, 0.459, 0.250)
O (0.502, 0.288, 0.869)
Ni (0.250, 0.250, 0.592)
O (0.528, 0.639, 0.913)
O (0.498, 0.789, 0.630)
O (0.143, 0.026, 0.589)
O (0.789, 0.496, 0.131)
O (0.710, 0.497, 0.630)
Si (0.427, 0.006, 0.350)
O (0.998, 0.212, 0.869)
O (0.530, 0.853, 0.408)
Si (0.927, 0.506, 0.650)
O (0.028, 0.139, 0.087)
O (0.970, 0.647, 0.408)
O (0.357, 0.474, 0.589)
Si (0.071, 0.006, 0.849)
Ni (0.250, 0.250, 0.091)
O (0.289, 0.996, 0.869)
Si (0.573, 0.994, 0.650)
O (0.030, 0.353, 0.592)
O (0.461, 0.961, 0.250)
O (0.972, 0.861, 0.913)
O (0.355, 0.031, 0.093)
O (0.855, 0.531, 0.907)
O (0.002, 0.788, 0.131)
O (0.502, 0.211, 0.370)
Si (0.007, 0.428, 0.848)
O (0.963, 0.041, 0.250)
O (0.539, 0.039, 0.750)
Si (0.929, 0.994, 0.151)
O (0.498, 0.712, 0.131)
Si (0.571, 0.506, 0.151)
O (0.211, 0.504, 0.869)
Si (0.494, 0.427, 0.350)
Si (0.993, 0.572, 0.152)
O (0.472, 0.361, 0.087)
Ni (0.750, 0.750, 0.408)
O (0.210, 0.997, 0.370)
O (0.145, 0.469, 0.093)

Q) Here is crystalline Si4NiO10 at its relaxed geometry from the Materials Project. Energies are from PBE with a Hubbard U.

Properties
The value obtained for the size of the total moment is 5.97 μB/cell.

Cell: 7.336 7.336 15.844 Å, 90.00 90.00 90.10°
Atoms (fractional coordinates):
Si (0.756, 0.677, 0.400)
O (0.397, 0.220, 0.342)
O (0.247, 0.960, 0.120)
O (0.753, 0.040, 0.120)
Si (0.256, 0.177, 0.100)
O (0.540, 0.253, 0.620)
O (0.607, 0.224, 0.838)
Si (0.244, 0.323, 0.400)
Si (0.744, 0.177, 0.600)
O (0.107, 0.724, 0.662)
O (0.747, 0.460, 0.380)
Si (0.323, 0.756, 0.100)
O (0.103, 0.280, 0.158)
Ni (0.500, 0.000, 0.341)
O (0.252, 0.461, 0.880)
O (0.961, 0.752, 0.380)
Si (0.677, 0.244, 0.100)
O (0.789, 0.211, 0.500)
O (0.289, 0.711, 0.000)
O (0.460, 0.747, 0.620)
O (0.752, 0.961, 0.620)
O (0.748, 0.539, 0.880)
O (0.211, 0.789, 0.500)
Si (0.177, 0.744, 0.400)
O (0.276, 0.893, 0.338)
O (0.720, 0.897, 0.842)
Ni (0.000, 0.500, 0.659)
O (0.211, 0.211, 0.000)
Si (0.823, 0.744, 0.900)
Si (0.256, 0.823, 0.600)
O (0.253, 0.540, 0.380)
O (0.280, 0.103, 0.842)
O (0.461, 0.252, 0.120)
O (0.960, 0.247, 0.880)
O (0.603, 0.780, 0.342)
Si (0.677, 0.756, 0.600)
Si (0.823, 0.256, 0.400)
O (0.248, 0.039, 0.620)
O (0.776, 0.393, 0.162)
O (0.220, 0.397, 0.658)
O (0.040, 0.753, 0.880)
Si (0.323, 0.244, 0.600)
O (0.039, 0.248, 0.380)
Ni (0.000, 0.500, 0.159)
O (0.780, 0.603, 0.658)
O (0.289, 0.289, 0.500)
O (0.711, 0.711, 0.500)
Si (0.756, 0.323, 0.900)
O (0.893, 0.276, 0.662)
O (0.897, 0.720, 0.158)
O (0.224, 0.607, 0.162)
O (0.711, 0.289, 0.000)
O (0.539, 0.748, 0.120)
Ni (0.500, 0.000, 0.841)
Si (0.244, 0.677, 0.900)
O (0.393, 0.776, 0.838)
Si (0.744, 0.823, 0.100)
O (0.789, 0.789, 0.000)
O (0.724, 0.107, 0.338)
Si (0.177, 0.256, 0.900)

Of them, P) has the lowest stability.

P) Here is crystalline Ni3Te2O8 at its relaxed geometry from the Materials Project. Energies are from PBE with a Hubbard U.

Properties
The value obtained for the size of the total moment is 22.44 μB/cell.

Cell: 12.866 4.958 12.877 Å, 90.00 119.96 90.00°
Atoms (fractional coordinates):
Te (0.137, 0.032, 0.275)
Ni (0.072, 0.467, 0.431)
O (0.044, 0.162, 0.522)
O (0.051, 0.792, 0.323)
O (0.051, 0.793, 0.730)
O (0.806, 0.079, 0.403)
Te (0.333, 0.353, 0.667)
Ni (0.431, 0.966, 0.360)
Ni (0.569, 0.466, 0.640)
O (0.597, 0.078, 0.194)
O (0.206, 0.265, 0.413)
O (0.478, 0.162, 0.522)
O (0.956, 0.662, 0.478)
O (0.597, 0.078, 0.403)
O (0.271, 0.793, 0.323)
O (0.320, 0.294, 0.269)
Te (0.667, 0.853, 0.333)
O (0.206, 0.270, 0.794)
Te (0.274, 0.538, 0.138)
O (0.522, 0.662, 0.478)
Ni (0.570, 0.467, 0.928)
Ni (0.642, 0.967, 0.569)
O (0.729, 0.293, 0.677)
Te (0.136, 0.037, 0.861)
O (0.949, 0.292, 0.677)
Ni (0.072, 0.467, 0.640)
O (0.949, 0.293, 0.270)
Te (0.726, 0.038, 0.862)
O (0.479, 0.164, 0.957)
Ni (0.358, 0.467, 0.431)
O (0.034, 0.637, 0.048)
O (0.794, 0.770, 0.206)
O (0.403, 0.578, 0.806)
O (0.403, 0.578, 0.597)
O (0.269, 0.795, 0.948)
O (0.320, 0.296, 0.051)
Ni (0.641, 0.969, 0.072)
Ni (0.928, 0.967, 0.569)
O (0.680, 0.796, 0.949)
O (0.731, 0.295, 0.052)
Te (0.863, 0.532, 0.725)
Ni (0.359, 0.469, 0.928)
Ni (0.430, 0.967, 0.072)
Ni (0.928, 0.967, 0.360)
O (0.589, 0.271, 0.794)
O (0.411, 0.771, 0.206)
Te (0.864, 0.537, 0.139)
O (0.794, 0.765, 0.587)
O (0.521, 0.664, 0.043)
O (0.194, 0.579, 0.597)
O (0.680, 0.794, 0.731)
O (0.966, 0.137, 0.952)

Q) Here is crystalline Ni3Te2O8 at its relaxed geometry from the Materials Project. Energies are from PBE with a Hubbard U.

Properties
The value obtained for the size of the total moment is 20.00 μB/cell.

Cell: 4.969 12.981 13.015 Å, 120.27 90.00 90.00°
Atoms (fractional coordinates):
O (0.918, 0.402, 0.597)
O (0.202, 0.732, 0.682)
Ni (0.027, 0.363, 0.432)
Ni (0.529, 0.431, 0.358)
Te (0.969, 0.859, 0.716)
O (0.203, 0.324, 0.273)
Ni (0.537, 0.431, 0.071)
Ni (0.030, 0.074, 0.642)
O (0.421, 0.597, 0.194)
Te (0.639, 0.666, 0.333)
O (0.705, 0.052, 0.726)
O (0.704, 0.050, 0.321)
Te (0.973, 0.861, 0.139)
O (0.212, 0.323, 0.053)
O (0.703, 0.676, 0.727)
O (0.212, 0.729, 0.053)
O (0.205, 0.948, 0.274)
O (0.734, 0.795, 0.205)
Ni (0.036, 0.360, 0.929)
Ni (0.037, 0.569, 0.929)
O (0.733, 0.410, 0.205)
O (0.702, 0.268, 0.318)
Te (0.972, 0.277, 0.137)
Te (0.469, 0.141, 0.284)
O (0.234, 0.205, 0.795)
O (0.333, 0.479, 0.520)
Te (0.472, 0.723, 0.863)
O (0.419, 0.805, 0.403)
Ni (0.029, 0.069, 0.432)
O (0.336, 0.042, 0.521)
O (0.884, 0.941, 0.874)
O (0.233, 0.590, 0.795)
O (0.708, 0.797, 0.595)
O (0.340, 0.479, 0.958)
O (0.712, 0.271, 0.947)
O (0.836, 0.958, 0.479)
O (0.712, 0.677, 0.947)
O (0.208, 0.203, 0.405)
O (0.840, 0.521, 0.042)
Te (0.473, 0.139, 0.861)
Ni (0.530, 0.926, 0.358)
Ni (0.527, 0.637, 0.568)
O (0.418, 0.598, 0.403)
O (0.384, 0.059, 0.126)
Ni (0.029, 0.569, 0.642)
O (0.833, 0.521, 0.480)
Ni (0.536, 0.640, 0.071)
O (0.204, 0.950, 0.679)
Te (0.139, 0.334, 0.667)
O (0.919, 0.195, 0.597)
O (0.921, 0.403, 0.806)
Ni (0.529, 0.931, 0.568)

Of them, P) has the lowest stability.